The following is a DFT calculation (PBE) of a relaxed LiPH22C8O4 crystal.

Properties
- Magnetic moment: 0.0 μB per cell
- Formation energy: -0.38 eV per atom
- Space group: C2/c (15)

abc: 8.6234 8.6234 13.7145
angles: 77.95 77.95 63.14
Last column: nearest neighbours and their distance in Å.
Fractional positions:
Li  0.9317  0.0683  0.2500  4 O 2.15-2.20
Li  0.0683  0.9317  0.7500  4 O 2.15-2.20
P  0.2155  0.7845  0.2500  2 H 1.43
P  0.7845  0.2155  0.7500  2 H 1.43
H  0.5100  0.3249  0.3862  1 C 1.10
H  0.6751  0.4900  0.1138  1 C 1.10
H  0.4900  0.6751  0.6138  1 C 1.10
H  0.3249  0.5100  0.8862  1 C 1.10
H  0.3124  0.0837  0.2772  1 C 1.10
H  0.9163  0.6876  0.2228  1 C 1.10
H  0.6876  0.9163  0.7228  1 C 1.10
H  0.0837  0.3124  0.7772  1 C 1.10
H  0.7358  0.4280  0.3735  1 C 1.10
H  0.5720  0.2642  0.1265  1 C 1.10
H  0.2642  0.5720  0.6265  1 C 1.10
H  0.4280  0.7358  0.8735  1 C 1.10
H  0.2414  0.1997  0.1593  1 C 1.10
H  0.8003  0.7586  0.3407  1 C 1.10
H  0.7586  0.8003  0.8407  1 C 1.10
H  0.1997  0.2414  0.6593  1 C 1.10
H  0.2446  0.3181  0.2526  1 C 1.10
H  0.6819  0.7554  0.2474  1 C 1.10
H  0.7554  0.6819  0.7474  1 C 1.10
H  0.3181  0.2446  0.7526  1 C 1.10
H  0.7820  0.3043  0.4955  1 C 1.11
H  0.6957  0.2180  0.0045  1 C 1.11
H  0.2180  0.6957  0.5045  1 C 1.11
H  0.3043  0.7820  0.9955  1 C 1.11
H  0.0404  0.3522  0.3974  1 C 1.10
H  0.6478  0.9596  0.1026  1 C 1.10
H  0.9596  0.6478  0.6026  1 C 1.10
H  0.3522  0.0404  0.8974  1 C 1.10
H  0.0859  0.1240  0.4246  1 C 1.10
H  0.8760  0.9141  0.0754  1 C 1.10
H  0.9141  0.8760  0.5754  1 C 1.10
H  0.1240  0.0859  0.9246  1 C 1.10
H  0.5735  0.1965  0.5045  1 C 1.10
H  0.8035  0.4265  0.9955  1 C 1.10
H  0.4265  0.8035  0.4955  1 C 1.10
H  0.1965  0.5735  0.0045  1 C 1.10
H  0.5792  0.0916  0.4029  1 C 1.09
H  0.9084  0.4208  0.0971  1 C 1.09
H  0.4208  0.9084  0.5971  1 C 1.09
H  0.0916  0.5792  0.9029  1 C 1.09
H  0.2726  0.6275  0.2066  1 P 1.43
H  0.3725  0.7274  0.2934  1 P 1.43
H  0.7274  0.3725  0.7934  1 P 1.43
H  0.6275  0.2726  0.7066  1 P 1.43
C  0.2212  0.2085  0.2399  3 H 1.10
C  0.7915  0.7788  0.2601  3 H 1.10
C  0.7788  0.7915  0.7601  3 H 1.10
C  0.2085  0.2212  0.7399  3 H 1.10
C  0.8147  0.2990  0.4135  2 H 1.10-1.11
C  0.7010  0.1853  0.0865  2 H 1.10-1.11
C  0.1853  0.7010  0.5865  2 H 1.10-1.11
C  0.2990  0.8147  0.9135  2 H 1.10-1.11
C  0.0072  0.2505  0.3824  2 H 1.10
C  0.7495  0.9928  0.1176  2 H 1.10
C  0.9928  0.7495  0.6176  2 H 1.10
C  0.2505  0.0072  0.8824  2 H 1.10
C  0.6000  0.1971  0.4222  3 H 1.09-1.10
C  0.8029  0.4000  0.0778  3 H 1.09-1.10
C  0.4000  0.8029  0.5778  3 H 1.09-1.10
C  0.1971  0.6000  0.9222  3 H 1.09-1.10
O  0.0435  0.2378  0.2767  2 C 1.43
O  0.7622  0.9565  0.2233  2 C 1.43
O  0.9565  0.7622  0.7233  2 C 1.43
O  0.2378  0.0435  0.7767  2 C 1.43
O  0.7784  0.1665  0.3875  2 C 1.43-1.44
O  0.8335  0.2216  0.1125  2 C 1.43-1.44
O  0.2216  0.8335  0.6125  2 C 1.43-1.44
O  0.1665  0.7784  0.8875  2 C 1.43-1.44